[1]
YTi2O4 PBE-GGA relaxed; polymorph energy (0 for the lowest one) = 46 meV per atom; crystal system = cubic; calculated formation energy = -3204 meV per atom; SG = Fd-3m, No. 227
1.0
0.000 4.463 4.463
4.463 0.000 4.463
4.463 4.463 0.000
Y Ti O
2 4 8
Direct
0.125 0.125 0.125
0.875 0.875 0.875
0.000 0.500 0.500
0.500 0.000 0.500
0.500 0.500 0.000
0.500 0.500 0.500
0.263 0.263 0.263
0.263 0.263 0.710
0.263 0.710 0.263
0.290 0.737 0.737
0.710 0.263 0.263
0.737 0.290 0.737
0.737 0.737 0.290
0.737 0.737 0.737

---

[2]
Lu2CuOs PBE-GGA relaxed; crystal system = cubic; calculated formation energy = -365 meV per atom; SG = Fm-3m, No. 225
1.0
0.000 3.357 3.357
3.357 0.000 3.357
3.357 3.357 0.000
Lu Cu Os
2 1 1
Direct
0.250 0.250 0.250
0.750 0.750 0.750
0.000 0.000 0.000
0.500 0.500 0.500

---

[3]
Na5Ta2Ga2Si3P3O24 PBE-GGA relaxed; crystal system = triclinic; calculated formation energy = -2816 meV per atom; SG = P1, No. 1
1.0
8.871 0.000 0.000
4.395 7.715 0.000
0.257 0.170 22.193
Na Ta Ga Si P O
15 6 6 9 9 72
Direct
0.000 0.000 0.000
0.001 0.011 0.498
0.045 0.304 0.413
0.047 0.652 0.909
0.307 0.041 0.913
0.335 0.975 0.576
0.344 0.356 0.331
0.358 0.341 0.831
0.379 0.992 0.246
0.655 0.045 0.410
0.666 0.673 0.666
0.677 0.672 0.165
0.976 0.708 0.581
0.980 0.327 0.076
0.996 0.376 0.746
0.003 0.002 0.345
0.006 0.000 0.846
0.341 0.335 0.680
0.345 0.332 0.180
0.664 0.672 0.013
0.673 0.662 0.512
0.011 0.992 0.139
0.337 0.338 0.973
0.348 0.327 0.472
0.673 0.672 0.306
0.676 0.669 0.806
0.991 0.011 0.639
0.052 0.329 0.574
0.334 0.045 0.074
0.383 0.959 0.405
0.393 0.657 0.905
0.635 0.048 0.572
0.661 0.389 0.404
0.724 0.991 0.239
0.963 0.380 0.907
0.998 0.716 0.739
0.053 0.629 0.073
0.296 0.714 0.239
0.301 0.993 0.738
0.340 0.619 0.572
0.629 0.330 0.072
0.668 0.959 0.907
0.717 0.293 0.740
0.965 0.665 0.407
0.997 0.299 0.238
0.025 0.808 0.799
0.028 0.810 0.079
0.034 0.175 0.295
0.039 0.154 0.582
0.141 0.368 0.633
0.144 0.508 0.415
0.145 0.506 0.128
0.152 0.549 0.014
0.159 0.350 0.913
0.160 0.030 0.082
0.168 0.300 0.514
0.172 0.308 0.235
0.177 0.518 0.736
0.178 0.804 0.296
0.179 0.028 0.795
0.187 0.804 0.579
0.188 0.978 0.401
0.195 0.839 0.900
0.214 0.832 0.184
0.214 0.977 0.682
0.301 0.166 0.015
0.304 0.535 0.234
0.307 0.535 0.519
0.308 0.168 0.736
0.351 0.156 0.411
0.356 0.498 0.914
0.361 0.143 0.134
0.367 0.508 0.630
0.476 0.693 0.246
0.476 0.704 0.964
0.477 0.838 0.467
0.481 0.840 0.746
0.499 0.356 0.412
0.503 0.144 0.630
0.504 0.878 0.347
0.506 0.640 0.847
0.508 0.634 0.569
0.512 0.139 0.915
0.513 0.855 0.070
0.514 0.360 0.130
0.525 0.172 0.234
0.538 0.302 0.736
0.539 0.311 0.017
0.553 0.153 0.510
0.637 0.879 0.851
0.644 0.854 0.570
0.645 0.500 0.069
0.647 0.501 0.346
0.687 0.830 0.245
0.697 0.473 0.746
0.706 0.838 0.963
0.708 0.471 0.464
0.808 0.176 0.797
0.809 0.023 0.301
0.813 0.178 0.078
0.831 0.011 0.578
0.833 0.211 0.685
0.833 0.684 0.745
0.840 0.974 0.181
0.841 0.968 0.902
0.843 0.191 0.400
0.843 0.473 0.968
0.844 0.478 0.246
0.847 0.701 0.465
0.862 0.510 0.569
0.871 0.635 0.070
0.881 0.634 0.353
0.883 0.501 0.848
0.973 0.837 0.402
0.982 0.213 0.181
0.983 0.185 0.901
0.983 0.825 0.679

---

[4]
MgMnNi2Sb2 PBE-GGA relaxed; crystal system = trigonal; calculated formation energy = -4 meV per atom; SG = R3m, No. 160
1.0
2.172 1.254 7.172
-2.172 1.254 7.172
0.000 -2.508 7.172
Mg Mn Ni Sb
1 1 2 2
Direct
0.000 0.000 0.000
0.495 0.495 0.495
0.246 0.246 0.246
0.749 0.749 0.749
0.126 0.126 0.126
0.615 0.615 0.615